# Mg2Te3O9, relaxed, DFT PBE
data_Mg2Te3O9
_chemical_formula_sum 'Mg8 Te12 O36'
_symmetry_space_group_name_H-M 'P 1 21/c 1'
_symmetry_Int_Tables_number 14
_cell_length_a 9.1841
_cell_length_b 7.2588
_cell_length_c 12.5930
_cell_angle_alpha 90.00
_cell_angle_beta 121.95
_cell_angle_gamma 90.00
loop_
_symmetry_equiv_pos_as_xyz
'x,y,z'
'-x,-y,-z'
'-x,y+1/2,-z+1/2'
'x,-y+1/2,z+1/2'
loop_
_atom_site_label
_atom_site_type_symbol
_atom_site_fract_x
_atom_site_fract_y
_atom_site_fract_z
Mg1 Mg 0.0952 0.1230 0.1377
Mg2 Mg 0.1045 0.6309 0.1409
Te1 Te 0.2603 0.6191 0.9285
Te2 Te 0.2768 0.1148 0.9405
Te3 Te 0.4956 0.1269 0.7485
O1 O 0.0823 0.1119 0.9581
O2 O 0.0826 0.6405 0.9663
O3 O 0.1375 0.0876 0.3227
O4 O 0.1730 0.6555 0.3297
O5 O 0.2615 0.1335 0.7052
O6 O 0.2724 0.6135 0.7079
O7 O 0.4169 0.1917 0.5743
O8 O 0.4306 0.5664 0.5749
O9 O 0.4593 0.6239 0.1856
# - E (MP2020): -6.014 eV/atom